DFT (GGA-PBE) results for crystalline Sr2B5H3O11 at its relaxed geometry.

Cell: 6.5742 6.6200 11.5110 Å, 85.52 88.92 61.27°
With the nearest neighbours (Å) after each atom.
Space group P1 (No. 1)
Inequivalent atoms, fractional coordinates:
Sr 0.0000 0.0000 0.0000 [1 per cell]  7 O 2.60-2.71, 1 H 2.76
Sr 0.0447 0.5988 0.3086 [1 per cell]  8 O 2.54-2.73
Sr 0.1954 0.9975 0.5142 [1 per cell]  7 O 2.54-2.79
Sr 0.5509 0.5937 0.8031 [1 per cell]  7 O 2.51-2.77
B 0.0875 0.4708 0.9824 [1 per cell]  4 O 1.45-1.52
B 0.0907 0.5748 0.7566 [1 per cell]  3 O 1.37-1.39
B 0.2808 0.4246 0.5650 [1 per cell]  4 O 1.46-1.51
B 0.4010 0.5040 0.0876 [1 per cell]  4 O 1.47-1.51
B 0.4757 0.1295 0.0078 [1 per cell]  3 O 1.37-1.38
B 0.5918 0.5876 0.2496 [1 per cell]  3 O 1.37-1.38
B 0.5946 0.5038 0.4762 [1 per cell]  4 O 1.47-1.50
B 0.6608 0.6866 0.0428 [1 per cell]  4 O 1.47-1.49
B 0.6727 0.0934 0.5244 [1 per cell]  3 O 1.38
B 0.8448 0.6438 0.5799 [1 per cell]  4 O 1.45-1.53
H 0.0823 0.0870 0.2617 [1 per cell]  2 O 1.16-1.29
H 0.2618 0.1034 0.7438 [1 per cell]  1 O 0.97
H 0.3422 0.1189 0.2595 [1 per cell]  1 O 0.97
H 0.7256 0.1034 0.7525 [1 per cell]  1 O 0.97
H 0.8105 0.1290 0.2327 [1 per cell]  1 O 0.98
H 0.9931 0.0863 0.7611 [1 per cell]  1 O 1.14
O 0.0533 0.4517 0.5348 [1 per cell]  2 B 1.46-1.47
O 0.1297 0.5872 0.8722 [1 per cell]  2 B 1.38-1.52
O 0.1559 0.5620 0.0787 [1 per cell]  2 B 1.47-1.48
O 0.2060 0.1643 0.3073 [1 per cell]  1 H 0.97
O 0.2131 0.9866 0.7383 [1 per cell]  1 H 0.97
O 0.2455 0.2133 0.9808 [1 per cell]  2 B 1.37-1.51
O 0.2839 0.4892 0.6868 [1 per cell]  2 B 1.39-1.50
O 0.3481 0.5583 0.4795 [1 per cell]  2 B 1.47-1.48
O 0.4431 0.6787 0.0198 [1 per cell]  2 B 1.48-1.49
O 0.4509 0.1697 0.5641 [1 per cell]  2 B 1.38-1.51
O 0.4526 0.4992 0.2154 [1 per cell]  2 B 1.38-1.51
O 0.5569 0.2692 0.0483 [1 per cell]  2 B 1.38-1.49
O 0.6351 0.6251 0.5677 [1 per cell]  2 B 1.45-1.47
O 0.6423 0.9071 0.9909 [1 per cell]  2 B 1.38-1.48
O 0.6450 0.5931 0.3636 [1 per cell]  2 B 1.37-1.48
O 0.6965 0.6749 0.1712 [1 per cell]  2 B 1.38-1.49
O 0.7510 0.2476 0.4897 [1 per cell]  2 B 1.38-1.50
O 0.8075 0.1669 0.7932 [1 per cell]  1 H 0.97
O 0.8317 0.8630 0.5189 [1 per cell]  2 B 1.38-1.53
O 0.8550 0.4980 0.9877 [1 per cell]  2 B 1.45-1.47
O 0.8730 0.6525 0.7096 [1 per cell]  2 B 1.37-1.52
O 0.9724 0.0090 0.2277 [1 per cell]  1 H 0.98

Properties
Total DFT energy (no corrections), eV per atom: -7.180
Energy with MP2020 corrections, eV/atom: -7.540
Magnetic moment, μB/cell: 0.0
Energy relative to the elements, eV/atom: -2.7118
V, Å³ per cell: 437.8